# 1
76
Lattice="10.052 0.000 0.000 0.000 10.052 0.000 0.000 0.000 10.052" Properties=species:S:1:pos:R:3 comment="Rb2TiFeP3O12, optimized geometry, DFT PBE+U" total_energy_ev_per_atom=-6.97 vol_a3_per_cell=1015.68 corrected_energy_ev_per_atom=-7.521 total_magnetization_mub_per_fu=1.00 pbc="T T T"
Rb 0.696 0.696 0.696
Rb 2.105 7.131 7.947
Rb 2.921 2.921 2.921
Rb 4.330 9.356 5.722
Rb 5.722 4.330 9.356
Rb 7.131 7.947 2.105
Rb 7.947 2.105 7.131
Rb 9.356 5.722 4.330
Ti 1.426 3.600 6.452
Ti 3.600 6.452 1.426
Ti 6.452 1.426 3.600
Ti 8.626 8.626 8.626
Fe 0.877 9.175 4.149
Fe 4.149 0.877 9.175
Fe 5.903 5.903 5.903
Fe 9.175 4.149 0.877
P 0.436 7.299 1.271
P 1.271 0.436 7.299
P 2.273 3.755 9.616
P 2.753 6.297 4.590
P 3.755 9.616 2.273
P 4.590 2.753 6.297
P 5.462 7.779 8.781
P 6.297 4.590 2.753
P 7.299 1.271 0.436
P 7.779 8.781 5.462
P 8.781 5.462 7.779
P 9.616 2.273 3.755
O 0.009 0.825 3.538
O 0.129 9.660 7.984
O 0.184 8.123 2.547
O 0.392 2.958 4.897
O 0.825 3.538 0.009
O 0.851 1.941 7.362
O 1.488 10.043 5.851
O 1.929 7.573 4.842
O 1.941 7.362 0.851
O 2.068 5.155 5.418
O 2.336 4.175 8.111
O 2.479 9.868 3.097
O 2.547 0.184 8.123
O 2.690 5.877 3.085
O 2.958 4.897 0.392
O 3.085 2.690 5.877
O 3.097 2.479 9.868
O 3.538 0.009 0.825
O 4.175 8.111 2.336
O 4.201 6.514 5.035
O 4.634 7.094 9.923
O 4.842 1.929 7.573
O 4.897 0.392 2.958
O 5.017 9.227 8.564
O 5.035 4.201 6.514
O 5.155 5.418 2.068
O 5.210 6.955 7.505
O 5.418 2.068 5.155
O 5.851 1.488 10.043
O 5.877 3.085 2.690
O 6.514 5.035 4.201
O 6.955 7.505 5.210
O 6.967 7.716 9.201
O 7.094 9.923 4.634
O 7.362 0.851 1.941
O 7.505 5.210 6.955
O 7.573 4.842 1.929
O 7.716 9.201 6.967
O 7.984 0.129 9.660
O 8.111 2.336 4.175
O 8.123 2.547 0.184
O 8.564 5.017 9.227
O 9.201 6.967 7.716
O 9.227 8.564 5.017
O 9.660 7.984 0.129
O 9.868 3.097 2.479
O 9.923 4.634 7.094
O 10.043 5.851 1.488



# 2
30
Lattice="4.764 0.000 0.000 0.000 15.495 0.000 -0.121 0.000 4.769" Properties=species:S:1:pos:R:3 comment="Fe10O9F11, optimized geometry, DFT PBE+U" total_energy_ev_per_atom=-5.97 vol_a3_per_cell=351.99 corrected_energy_ev_per_atom=-7.095 relative_energy_mev_per_atom=1 total_magnetization_mub_per_fu=49.00 pbc="T T T"
Fe 0.000 0.000 0.000
Fe 0.169 3.192 0.275
Fe 0.169 12.303 0.275
Fe 2.299 1.447 2.408
Fe 2.299 14.048 2.408
Fe 2.508 4.617 2.357
Fe 2.508 10.878 2.357
Fe 2.552 7.747 2.460
Fe 4.580 6.217 0.056
Fe 4.580 9.278 0.056
O 1.398 0.000 1.496
O 1.541 3.110 1.595
O 1.541 12.385 1.595
O 3.228 0.000 3.333
O 3.231 6.166 3.333
O 3.231 9.329 3.333
O 3.824 7.747 0.967
O 3.898 4.662 0.988
O 3.898 10.833 0.988
F 0.844 7.747 3.875
F 0.898 1.727 3.912
F 0.898 13.768 3.912
F 0.907 4.684 3.914
F 0.907 10.811 3.914
F 1.442 6.211 1.471
F 1.442 9.283 1.471
F 3.363 3.104 3.443
F 3.363 12.391 3.443
F 3.855 1.686 1.033
F 3.855 13.809 1.033



# 3
30
Lattice="4.891 0.000 0.000 -2.434 5.585 0.000 -0.035 -2.373 12.263" Properties=species:S:1:pos:R:3 comment="Ca3Mg2FeC6O18, optimized geometry, DFT PBE+U" total_energy_ev_per_atom=-7.38 vol_a3_per_cell=334.94 corrected_energy_ev_per_atom=-7.864 total_magnetization_mub_per_fu=4.00 pbc="T T T"
Ca 0.000 0.000 0.000
Ca -0.014 2.136 8.178
Ca 2.436 1.075 4.084
Mg 0.002 3.326 2.044
Mg 2.419 -0.114 10.218
Fe -0.017 -1.187 6.131
C -0.027 -1.672 9.175
C -0.025 1.438 11.270
C -0.009 2.829 5.077
C 2.430 0.382 7.185
C 2.447 1.774 0.993
C 2.449 4.883 3.088
O -1.926 3.581 8.039
O -1.298 2.830 5.192
O -0.792 1.187 10.251
O 0.738 -1.418 10.194
O -1.153 4.859 2.958
O -0.517 4.129 0.153
O 0.534 2.535 3.937
O 1.153 1.792 1.132
O 1.691 0.140 6.150
O 0.731 3.071 6.113
O 1.268 1.420 11.131
O 1.888 0.676 8.325
O 2.939 -0.917 12.109
O 3.574 -1.648 9.305
O 1.683 4.630 2.069
O 3.214 2.024 2.012
O 3.720 0.381 7.070
O 4.347 -0.370 4.224



# 4
10
Lattice="7.430 0.000 0.000 -3.715 6.434 0.000 0.000 0.000 5.421" Properties=species:S:1:pos:R:3 comment="CsNiF3, optimized geometry, DFT PBE+U" total_energy_ev_per_atom=-4.21 vol_a3_per_cell=259.15 corrected_energy_ev_per_atom=-4.996 total_magnetization_mub_per_fu=2.00 pbc="T T T"
Cs 0.000 4.290 1.355
Cs 3.715 2.145 4.066
Ni 0.000 0.000 0.000
Ni 0.000 0.000 2.710
F 0.000 1.526 1.355
F -2.393 5.671 1.355
F 1.322 0.763 4.066
F 2.393 5.671 1.355
F 6.108 0.763 4.066
F 3.715 4.908 4.066



# 5
24
Lattice="3.003 0.000 0.000 -1.500 6.351 0.000 -0.025 -2.851 11.690" Properties=species:S:1:pos:R:3 comment="Li3Mn2CoO6, optimized geometry, DFT PBE+U" total_energy_ev_per_atom=-6.29 vol_a3_per_cell=222.95 corrected_energy_ev_per_atom=-7.048 relative_energy_mev_per_atom=26 total_magnetization_mub_per_fu=0.38 pbc="T T T"
Li -0.006 -0.711 2.932
Li 1.485 4.211 8.759
Li -0.013 2.609 6.770
Li -0.001 4.038 0.995
Li 1.480 -0.538 10.695
Li 1.491 0.891 4.921
Mn -0.020 1.840 9.758
Mn -0.007 3.305 3.919
Mn 1.485 0.195 7.771
Mn 1.498 1.660 1.932
Co 0.000 0.000 0.000
Co -0.012 -1.425 5.845
O -0.011 0.569 6.451
O -0.001 2.002 0.647
O -0.022 -0.041 9.221
O -0.006 1.412 3.298
O -0.020 3.688 10.235
O -0.008 5.146 4.373
O 1.486 -1.647 7.317
O 1.499 -0.188 1.456
O 1.484 2.088 8.393
O 1.500 3.540 2.469
O 1.479 1.498 11.043
O 1.489 2.931 5.239



# 6
18
Lattice="-3.552 3.798 5.295 3.552 -3.798 5.295 3.552 3.798 -5.295" Properties=species:S:1:pos:R:3 comment="RbFeCuF6, optimized geometry, DFT PBE+U" total_energy_ev_per_atom=-4.70 vol_a3_per_cell=285.74 corrected_energy_ev_per_atom=-5.262 total_magnetization_mub_per_fu=6.00 pbc="T T T"
Rb 0.000 1.899 1.252
Rb 3.552 1.899 4.044
Fe 3.552 0.000 0.000
Fe 0.000 0.000 5.295
Cu 1.776 1.899 -2.648
Cu 1.776 -1.899 2.648
F 3.552 -1.899 3.377
F 2.147 -0.356 1.288
F 4.958 -0.356 1.288
F 3.552 1.899 0.665
F 2.147 3.442 -1.288
F 1.405 -0.356 4.007
F 2.147 4.153 1.288
F 1.405 0.356 6.583
F 0.000 1.899 4.630
F -1.405 4.153 4.007
F 1.405 4.153 4.007
F 0.000 5.697 1.918